Na5TiGa3P6O24, relaxed, DFT PBE; ΔH_f (0 K) = -2.66 eV per atom; volume = 12.350 Å³/atom; symmetry = P1
1.0
8.717 0.000 0.000
4.357 7.550 0.000
0.018 0.027 21.956
Na Ti Ga P O
15 3 9 18 72
Direct
0.000 0.000 0.000 Na
0.001 0.645 0.242 Na
0.006 0.372 0.747 Na
0.012 0.001 0.501 Na
0.333 0.978 0.914 Na
0.334 0.344 0.157 Na
0.335 0.355 0.663 Na
0.367 0.010 0.243 Na
0.635 0.377 0.243 Na
0.638 0.011 0.747 Na
0.656 0.678 0.331 Na
0.669 0.677 0.832 Na
0.700 0.346 0.915 Na
0.703 0.978 0.414 Na
0.966 0.346 0.414 Na
0.333 0.345 0.519 Ti
0.333 0.347 0.018 Ti
0.661 0.676 0.680 Ti
0.001 0.009 0.643 Ga
0.002 0.002 0.847 Ga
0.002 0.010 0.140 Ga
0.009 0.004 0.347 Ga
0.333 0.352 0.813 Ga
0.336 0.345 0.314 Ga
0.661 0.678 0.480 Ga
0.668 0.677 0.174 Ga
0.675 0.678 0.981 Ga
0.002 0.300 0.246 P
0.006 0.719 0.745 P
0.042 0.348 0.911 P
0.046 0.636 0.412 P
0.290 0.010 0.746 P
0.291 0.720 0.245 P
0.332 0.635 0.913 P
0.335 0.051 0.412 P
0.373 0.682 0.578 P
0.374 0.968 0.078 P
0.623 0.348 0.412 P
0.626 0.051 0.912 P
0.672 0.383 0.079 P
0.673 0.966 0.578 P
0.710 0.300 0.746 P
0.711 0.011 0.246 P
0.957 0.383 0.578 P
0.958 0.681 0.080 P
0.023 0.824 0.408 O
0.026 0.176 0.908 O
0.036 0.802 0.688 O
0.041 0.176 0.192 O
0.119 0.376 0.852 O
0.120 0.522 0.354 O
0.142 0.371 0.573 O
0.144 0.510 0.072 O
0.162 0.042 0.408 O
0.166 0.539 0.468 O
0.167 0.049 0.691 O
0.167 0.529 0.751 O
0.167 0.823 0.908 O
0.168 0.315 0.966 O
0.169 0.802 0.190 O
0.170 0.321 0.252 O
0.189 0.988 0.084 O
0.190 0.845 0.586 O
0.216 0.839 0.303 O
0.216 0.976 0.806 O
0.303 0.177 0.467 O
0.307 0.542 0.969 O
0.312 0.532 0.252 O
0.315 0.175 0.751 O
0.359 0.155 0.071 O
0.363 0.509 0.573 O
0.373 0.127 0.353 O
0.375 0.517 0.856 O
0.456 0.712 0.521 O
0.459 0.856 0.021 O
0.480 0.699 0.239 O
0.481 0.845 0.738 O
0.486 0.893 0.138 O
0.496 0.651 0.634 O
0.499 0.152 0.572 O
0.500 0.656 0.919 O
0.501 0.367 0.072 O
0.505 0.868 0.419 O
0.513 0.127 0.852 O
0.518 0.377 0.352 O
0.522 0.179 0.252 O
0.525 0.317 0.752 O
0.529 0.315 0.466 O
0.533 0.177 0.966 O
0.636 0.495 0.138 O
0.640 0.868 0.918 O
0.641 0.878 0.635 O
0.651 0.510 0.418 O
0.690 0.843 0.240 O
0.695 0.486 0.738 O
0.698 0.468 0.021 O
0.699 0.857 0.519 O
0.794 0.178 0.691 O
0.796 0.050 0.192 O
0.809 0.042 0.907 O
0.810 0.176 0.409 O
0.824 0.972 0.306 O
0.826 0.227 0.805 O
0.834 0.489 0.240 O
0.835 0.988 0.585 O
0.836 0.698 0.738 O
0.837 0.198 0.084 O
0.842 0.710 0.024 O
0.849 0.466 0.519 O
0.853 0.510 0.918 O
0.858 0.655 0.418 O
0.868 0.502 0.635 O
0.886 0.643 0.140 O
0.959 0.840 0.801 O
0.963 0.226 0.306 O
0.978 0.199 0.585 O
0.979 0.845 0.085 O

=====

LuNiSn, relaxed, DFT PBE; ΔH_f (0 K) = -0.65 eV per atom; volume = 19.565 Å³/atom; symmetry = Pnma
1.0
6.958 0.000 0.000
0.000 4.443 0.000
0.000 0.000 7.595
Lu Ni Sn
4 4 4
Direct
0.012 0.250 0.202 Lu
0.488 0.750 0.702 Lu
0.512 0.250 0.298 Lu
0.988 0.750 0.798 Lu
0.204 0.750 0.418 Ni
0.296 0.250 0.918 Ni
0.704 0.750 0.082 Ni
0.796 0.250 0.582 Ni
0.191 0.250 0.589 Sn
0.309 0.750 0.089 Sn
0.691 0.250 0.911 Sn
0.809 0.750 0.411 Sn

=====

CaC2O4, relaxed, DFT PBE; ΔH_f (0 K) = -1.68 eV per atom; volume = 16.070 Å³/atom; distance to the lowest polymorph of the same formula = 0.569 eV/atom; symmetry = Pbca
1.0
6.466 0.000 0.000
0.000 13.496 0.000
0.000 0.000 10.312
Ca C O
8 16 32
Direct
0.023 0.111 0.134 Ca
0.023 0.389 0.634 Ca
0.477 0.611 0.134 Ca
0.477 0.889 0.634 Ca
0.523 0.111 0.366 Ca
0.523 0.389 0.866 Ca
0.977 0.611 0.366 Ca
0.977 0.889 0.866 Ca
0.144 0.232 0.870 C
0.144 0.268 0.370 C
0.162 0.046 0.613 C
0.162 0.454 0.113 C
0.338 0.546 0.613 C
0.338 0.954 0.113 C
0.356 0.732 0.870 C
0.356 0.768 0.370 C
0.644 0.232 0.630 C
0.644 0.268 0.130 C
0.662 0.046 0.887 C
0.662 0.454 0.387 C
0.838 0.546 0.887 C
0.838 0.954 0.387 C
0.856 0.732 0.630 C
0.856 0.768 0.130 C
0.124 0.516 0.200 O
0.124 0.984 0.700 O
0.188 0.549 0.537 O
0.188 0.951 0.037 O
0.203 0.200 0.977 O
0.203 0.300 0.477 O
0.216 0.200 0.299 O
0.216 0.300 0.799 O
0.284 0.700 0.299 O
0.284 0.800 0.799 O
0.297 0.700 0.977 O
0.297 0.800 0.477 O
0.312 0.049 0.537 O
0.312 0.451 0.037 O
0.376 0.016 0.200 O
0.376 0.484 0.700 O
0.624 0.516 0.300 O
0.624 0.984 0.800 O
0.688 0.549 0.963 O
0.688 0.951 0.463 O
0.703 0.200 0.523 O
0.703 0.300 0.023 O
0.716 0.200 0.201 O
0.716 0.300 0.701 O
0.784 0.700 0.201 O
0.784 0.800 0.701 O
0.797 0.700 0.523 O
0.797 0.800 0.023 O
0.812 0.049 0.963 O
0.812 0.451 0.463 O
0.876 0.016 0.300 O
0.876 0.484 0.800 O

=====

PrS2, relaxed, DFT PBE; ΔH_f (0 K) = -2.07 eV per atom; volume = 22.627 Å³/atom; symmetry = Pnma
1.0
8.086 0.000 0.000
0.000 16.367 0.000
0.000 0.000 4.103
Pr S
8 16
Direct
0.129 0.112 0.218 Pr
0.129 0.388 0.218 Pr
0.371 0.612 0.718 Pr
0.371 0.888 0.718 Pr
0.629 0.112 0.282 Pr
0.629 0.388 0.282 Pr
0.871 0.612 0.782 Pr
0.871 0.888 0.782 Pr
0.101 0.250 0.664 S
0.109 0.750 0.644 S
0.125 0.566 0.241 S
0.125 0.934 0.241 S
0.375 0.066 0.741 S
0.375 0.434 0.741 S
0.391 0.250 0.144 S
0.399 0.750 0.164 S
0.601 0.250 0.836 S
0.609 0.750 0.856 S
0.625 0.566 0.259 S
0.625 0.934 0.259 S
0.875 0.066 0.759 S
0.875 0.434 0.759 S
0.891 0.250 0.356 S
0.899 0.750 0.336 S